A plane-wave DFT calculation with PBE-GGA was carried out for a relaxed Ba2Ti9O20 crystal.

Unit cell a=7.5487 b=14.2885 c=14.5151 alpha=89.89 beta=79.56 gamma=84.58
Last column: nearest neighbours and their distance in Å.
Space group P-1 (No. 2)
One atom of each set of equivalent atoms:
1 Ba 0.0063 0.2496 0.1281 (multiplicity 2)  7 O 2.79-2.99
2 Ba 0.0097 0.7515 0.2265 (multiplicity 2)  11 O 2.83-3.16
3 Ba 0.2491 0.0616 0.5225 (multiplicity 2)  9 O 2.78-3.08
4 Ba 0.2615 0.5601 0.4239 (multiplicity 2)  12 O 2.84-3.16
5 Ti 0.1638 0.8375 0.6367 (multiplicity 2)  5 O 1.86-2.07
6 Ti 0.1683 0.3319 0.3370 (multiplicity 2)  3 O 1.80-2.01
7 Ti 0.1780 0.5011 0.7167 (multiplicity 2)  3 O 1.84-1.90
8 Ti 0.1787 0.4897 0.9342 (multiplicity 2)  5 O 1.88-2.09
9 Ti 0.1797 0.9922 0.0336 (multiplicity 2)  6 O 1.92-2.05
10 Ti 0.1829 0.9988 0.8196 (multiplicity 2)  4 O 1.82-2.04
11 Ti 0.1837 0.9877 0.2531 (multiplicity 2)  3 O 1.82-1.93
12 Ti 0.1899 0.5019 0.1460 (multiplicity 2)  4 O 1.84-1.99
13 Ti 0.1980 0.8192 0.4295 (multiplicity 2)  5 O 1.83-2.03
14 Ti 0.1987 0.3288 0.5501 (multiplicity 2)  5 O 1.84-2.05
15 Ti 0.4447 0.6669 0.5968 (multiplicity 2)  4 O 1.85-2.04
16 Ti 0.4496 0.6624 0.0086 (multiplicity 2)  4 O 1.86-2.00
17 Ti 0.4520 0.1636 0.6899 (multiplicity 2)  3 O 1.80-1.92
18 Ti 0.4550 0.1557 0.9001 (multiplicity 2)  5 O 1.90-2.01
19 Ti 0.4564 0.6532 0.8047 (multiplicity 2)  4 O 1.89-1.98
20 Ti 0.4617 0.1554 0.1054 (multiplicity 2)  5 O 1.87-1.99
21 Ti 0.4640 0.1513 0.3108 (multiplicity 2)  3 O 1.82-2.01
22 Ti 0.4840 0.6576 0.2122 (multiplicity 2)  4 O 1.80-2.01
23 O 0.0083 0.2466 0.3201 (multiplicity 2)  2 Ti 1.84-1.88
24 O 0.0189 0.7415 0.4286 (multiplicity 2)  2 Ti 1.83-1.98
25 O 0.0597 0.4347 0.8400 (multiplicity 2)  3 Ti 1.97-2.12
26 O 0.0601 0.9254 0.7414 (multiplicity 2)  3 Ti 1.95-2.11
27 O 0.0685 0.9311 0.9431 (multiplicity 2)  3 Ti 1.93-2.12
28 O 0.0700 0.9325 0.1481 (multiplicity 2)  3 Ti 1.95-2.07
29 O 0.0720 0.4297 0.0425 (multiplicity 2)  2 Ti 1.88-2.09
30 O 0.0761 0.4228 0.2470 (multiplicity 2)  3 Ti 1.97-2.09
31 O 0.0780 0.8968 0.5374 (multiplicity 2)  2 Ti 1.86-1.95
32 O 0.0824 0.3932 0.4465 (multiplicity 2)  1 Ti 1.80
33 O 0.0875 0.4150 0.6418 (multiplicity 2)  2 Ti 1.84-1.90
34 O 0.0902 0.9073 0.3426 (multiplicity 2)  2 Ti 1.82-2.00
35 O 0.2550 0.5820 0.8238 (multiplicity 2)  2 Ti 1.89-2.11
36 O 0.2621 0.0843 0.7319 (multiplicity 2)  2 Ti 1.82-1.92
37 O 0.2657 0.0752 0.9238 (multiplicity 2)  3 Ti 1.90-2.08
38 O 0.2705 0.0792 0.1202 (multiplicity 2)  2 Ti 1.87-2.02
39 O 0.2695 0.5735 0.0240 (multiplicity 2)  3 Ti 1.93-2.07
40 O 0.2702 0.5879 0.2188 (multiplicity 2)  2 Ti 1.84-1.96
41 O 0.2780 0.5776 0.6236 (multiplicity 2)  2 Ti 1.84-1.87
42 O 0.2801 0.0731 0.3223 (multiplicity 2)  2 Ti 1.85-1.86
43 O 0.2999 0.2362 0.6215 (multiplicity 2)  2 Ti 1.87-1.89
44 O 0.3000 0.7478 0.5300 (multiplicity 2)  3 Ti 1.90-2.07
45 O 0.3329 0.2462 0.4079 (multiplicity 2)  3 Ti 2.01-2.17
46 O 0.3412 0.7493 0.7118 (multiplicity 2)  4 Ti 2.04-2.18
47 O 0.3505 0.7354 0.9142 (multiplicity 2)  2 Ti 1.93-1.98
48 O 0.3519 0.2413 0.8150 (multiplicity 2)  3 Ti 1.95-2.11
49 O 0.3587 0.7380 0.1136 (multiplicity 2)  1 Ti 1.86
50 O 0.3593 0.7431 0.3191 (multiplicity 2)  3 Ti 2.01-2.07
51 O 0.3600 0.2363 0.0149 (multiplicity 2)  3 Ti 1.96-2.12
52 O 0.3602 0.2405 0.2136 (multiplicity 2)  3 Ti 1.98-2.14
53 O 0.3866 0.9066 0.6171 (multiplicity 2)  2 Ti 1.82-2.01
54 O 0.3941 0.4215 0.7194 (multiplicity 2)  2 Ti 1.80-1.90
55 O 0.3936 0.9082 0.8111 (multiplicity 2)  3 Ti 1.94-2.04
56 O 0.3948 0.4069 0.9104 (multiplicity 2)  3 Ti 1.90-2.03
57 O 0.3968 0.9072 0.0111 (multiplicity 2)  3 Ti 1.92-2.01
58 O 0.4033 0.3967 0.3103 (multiplicity 2)  3 Ti 1.91-2.08
59 O 0.4032 0.4092 0.1132 (multiplicity 2)  3 Ti 1.90-2.12
60 O 0.4027 0.9073 0.2084 (multiplicity 2)  2 Ti 1.91-1.93
61 O 0.4099 0.3940 0.5065 (multiplicity 2)  2 Ti 1.85-1.93
62 O 0.4102 0.8994 0.4092 (multiplicity 2)  1 Ti 1.80

The calculation puts the formation energy at -3516 meV per atom.